Record 1
NaTi6Se8: optimized geometry, PBE.

Cell and atoms, written as POSCAR:
```
NaTi6Se8
1.0
9.847 0.000 0.000
-4.923 8.527 0.000
0.000 0.000 3.595
Na Ti Se
1 6 8
Direct
0.000 0.000 0.000
0.128 0.492 0.250
0.364 0.872 0.250
0.492 0.364 0.750
0.508 0.636 0.250
0.636 0.128 0.750
0.872 0.508 0.750
0.051 0.704 0.251
0.296 0.346 0.251
0.333 0.667 0.750
0.346 0.051 0.749
0.654 0.949 0.251
0.667 0.333 0.250
0.704 0.654 0.749
0.949 0.296 0.749
```

Energy of formation in eV per atom: -1.43
VASP energy in eV/cell: -94.299
MP2020-corrected energy in eV per atom: -6.538

---

Record 2
NaTi5Se8: optimized geometry, PBE.

Cell and atoms, written as POSCAR:
```
NaTi5Se8
1.0
9.391 -1.794 0.000
9.391 1.794 0.000
-2.401 0.000 8.829
Na Ti Se
1 5 8
Direct
0.000 0.000 0.000
0.150 0.150 0.492
0.210 0.210 0.850
0.500 0.500 0.500
0.790 0.790 0.150
0.850 0.850 0.508
0.074 0.074 0.677
0.258 0.258 0.340
0.341 0.341 0.002
0.417 0.417 0.691
0.583 0.583 0.309
0.659 0.659 0.998
0.742 0.742 0.660
0.926 0.926 0.323
```

Energy of formation in eV per atom: -1.44
VASP energy in eV/cell: -85.138
MP2020-corrected energy in eV per atom: -6.351

---

Record 3
Na4TiSe4: optimized geometry, PBE.

Cell and atoms, written as POSCAR:
```
Na4TiSe4
1.0
14.127 -3.703 0.000
14.127 3.703 0.000
-12.049 0.000 18.060
Na Ti Se
32 8 32
Direct
0.039 0.884 0.789
0.068 0.303 0.864
0.080 0.618 0.563
0.093 0.566 0.980
0.116 0.961 0.711
0.155 0.174 0.685
0.174 0.155 0.185
0.187 0.715 0.493
0.285 0.813 0.007
0.303 0.068 0.364
0.322 0.367 0.826
0.367 0.322 0.326
0.382 0.920 0.937
0.385 0.470 0.223
0.434 0.907 0.520
0.470 0.385 0.723
0.530 0.615 0.277
0.566 0.093 0.480
0.615 0.530 0.777
0.618 0.080 0.063
0.633 0.678 0.674
0.678 0.633 0.174
0.697 0.932 0.636
0.715 0.187 0.993
0.813 0.285 0.507
0.826 0.845 0.815
0.845 0.826 0.315
0.884 0.039 0.289
0.907 0.434 0.020
0.920 0.382 0.437
0.932 0.697 0.136
0.961 0.116 0.211
0.175 0.345 0.628
0.275 0.669 0.097
0.331 0.725 0.403
0.345 0.175 0.128
0.655 0.825 0.872
0.669 0.275 0.597
0.725 0.331 0.903
0.825 0.655 0.372
0.041 0.805 0.137
0.069 0.440 0.187
0.088 0.557 0.413
0.096 0.599 0.711
0.160 0.697 0.337
0.189 0.669 0.967
0.195 0.959 0.363
0.246 0.276 0.024
0.276 0.246 0.524
0.303 0.840 0.163
0.331 0.811 0.533
0.356 0.575 0.630
0.401 0.904 0.789
0.425 0.644 0.870
0.440 0.069 0.687
0.443 0.912 0.087
0.557 0.088 0.913
0.560 0.931 0.313
0.575 0.356 0.130
0.599 0.096 0.211
0.644 0.425 0.370
0.669 0.189 0.467
0.697 0.160 0.837
0.724 0.754 0.476
0.754 0.724 0.976
0.805 0.041 0.637
0.811 0.331 0.033
0.840 0.303 0.663
0.904 0.401 0.289
0.912 0.443 0.587
0.931 0.560 0.813
0.959 0.195 0.863
```

Energy of formation in eV per atom: -1.34
VASP energy in eV/cell: -299.018
MP2020-corrected energy in eV per atom: -4.363

---

Record 4
Na2Ti2Se9: optimized geometry, PBE.

Cell and atoms, written as POSCAR:
```
Na2Ti2Se9
1.0
13.115 0.000 0.000
0.000 15.238 0.000
-1.078 0.000 13.981
Na Ti Se
16 16 72
Direct
0.088 0.000 0.133
0.118 0.410 0.622
0.178 0.944 0.551
0.220 0.476 0.109
0.304 0.704 0.919
0.321 0.773 0.347
0.359 0.177 0.878
0.368 0.182 0.371
0.632 0.682 0.629
0.641 0.677 0.122
0.679 0.273 0.653
0.696 0.204 0.081
0.780 0.976 0.891
0.822 0.444 0.449
0.882 0.910 0.378
0.912 0.500 0.867
0.010 0.715 0.520
0.011 0.706 0.019
0.019 0.706 0.762
0.019 0.718 0.262
0.486 0.471 0.003
0.490 0.970 0.237
0.493 0.962 0.494
0.494 0.474 0.261
0.506 0.974 0.739
0.507 0.462 0.506
0.510 0.470 0.763
0.514 0.971 0.997
0.981 0.206 0.238
0.981 0.218 0.738
0.989 0.206 0.981
0.990 0.215 0.480
0.028 0.086 0.863
0.047 0.104 0.612
0.048 0.331 0.366
0.049 0.088 0.355
0.064 0.309 0.113
0.066 0.326 0.856
0.084 0.860 0.983
0.091 0.813 0.400
0.100 0.617 0.901
0.105 0.570 0.487
0.153 0.827 0.757
0.160 0.129 0.982
0.166 0.148 0.248
0.166 0.734 0.148
0.168 0.707 0.649
0.171 0.272 0.483
0.172 0.255 0.748
0.175 0.615 0.259
0.319 0.962 0.947
0.321 0.034 0.712
0.337 0.365 0.981
0.344 0.484 0.870
0.347 0.461 0.366
0.358 0.983 0.359
0.361 0.349 0.247
0.366 0.456 0.623
0.382 0.589 0.533
0.392 0.872 0.609
0.409 0.864 0.115
0.424 0.085 0.108
0.430 0.575 0.127
0.433 0.870 0.865
0.443 0.091 0.609
0.451 0.632 0.769
0.479 0.304 0.755
0.492 0.794 0.501
0.508 0.294 0.499
0.521 0.804 0.245
0.549 0.132 0.231
0.557 0.591 0.391
0.567 0.370 0.135
0.570 0.075 0.873
0.576 0.585 0.892
0.591 0.364 0.885
0.608 0.372 0.391
0.618 0.089 0.467
0.634 0.956 0.377
0.639 0.849 0.753
0.642 0.483 0.641
0.653 0.961 0.634
0.656 0.984 0.130
0.663 0.865 0.019
0.679 0.534 0.288
0.681 0.462 0.053
0.825 0.115 0.741
0.828 0.755 0.252
0.829 0.772 0.517
0.832 0.207 0.351
0.834 0.234 0.852
0.834 0.648 0.752
0.840 0.629 0.018
0.847 0.327 0.243
0.895 0.070 0.513
0.900 0.117 0.099
0.909 0.313 0.600
0.916 0.360 0.017
0.934 0.826 0.144
0.936 0.809 0.887
0.951 0.588 0.645
0.952 0.831 0.634
0.953 0.604 0.388
0.972 0.586 0.137
```

Energy of formation in eV per atom: -1.12
VASP energy in eV/cell: -482.126
MP2020-corrected energy in eV per atom: -4.963

---

Record 5
NaV2Se4: optimized geometry, PBE.

Cell and atoms, written as POSCAR:
```
NaV2Se4
1.0
1.812 1.046 14.429
-1.812 1.046 14.429
0.000 -2.093 14.429
Na V Se
1 2 4
Direct
0.000 0.000 0.000
0.418 0.418 0.418
0.915 0.915 0.915
0.117 0.117 0.117
0.216 0.216 0.216
0.617 0.617 0.617
0.716 0.716 0.716
```

Energy of formation in eV per atom: -1.00
VASP energy in eV/cell: -38.618
MP2020-corrected energy in eV per atom: -5.787
Offset from the most stable computed form in eV/atom: 0.074

---

Record 6
NaVSe2: optimized geometry, PBE.

Cell and atoms, written as POSCAR:
```
NaVSe2
1.0
1.890 1.091 6.865
-1.890 1.091 6.865
0.000 -2.183 6.865
Na V Se
1 1 2
Direct
0.000 0.000 0.000
0.500 0.500 0.500
0.235 0.235 0.235
0.765 0.765 0.765
```

Energy of formation in eV per atom: -1.09
VASP energy in eV/cell: -20.823
MP2020-corrected energy in eV per atom: -5.442

---

Record 7
NaV2Se4: optimized geometry, PBE.

Cell and atoms, written as POSCAR:
```
NaV2Se4
1.0
6.171 0.000 0.000
0.000 3.552 0.000
-2.694 0.000 7.354
Na V Se
1 2 4
Direct
0.000 0.000 0.000
0.310 0.500 0.512
0.870 0.000 0.505
0.265 0.000 0.728
0.429 0.000 0.327
0.748 0.500 0.690
0.911 0.500 0.288
```

Energy of formation in eV per atom: -1.08
VASP energy in eV/cell: -39.138
MP2020-corrected energy in eV per atom: -5.861
Offset from the most stable computed form in eV/atom: 0.000

---

Record 8
Na3V5Se10: optimized geometry, PBE.

Cell and atoms, written as POSCAR:
```
Na3V5Se10
1.0
6.200 0.000 0.000
-1.977 8.235 0.000
-1.044 -4.131 8.024
Na V Se
3 5 10
Direct
0.000 0.000 0.000
0.161 0.389 0.393
0.391 0.779 0.793
0.171 0.078 0.585
0.373 0.492 0.997
0.543 0.909 0.407
0.707 0.274 0.780
0.907 0.699 0.205
0.098 0.392 0.716
0.182 0.764 0.475
0.290 0.800 0.119
0.382 0.164 0.883
0.502 0.220 0.500
0.574 0.573 0.289
0.708 0.611 0.905
0.795 0.975 0.676
0.896 0.017 0.315
0.982 0.385 0.067
```

Energy of formation in eV per atom: -1.08
VASP energy in eV/cell: -99.137
MP2020-corrected energy in eV per atom: -5.770
Offset from the most stable computed form in eV/atom: 0.000

---

Which value of energy of formation does entry 8 give?
-1.08 eV per atom